(1)
A relaxed structure of Hg2Pt. Source: the Materials Project, functional PBE.

```
Hg2Pt
1.0
-1.0980 -1.4224 2.3887
-4.3484 1.9523 -0.8362
-1.1622 -3.7821 -2.7864
Hg Pt
2 1
direct
0.5000 0.0000 0.5000
0.5000 0.5000 0.0000
0.0000 0.0000 0.0000
```

=====

(2)
A relaxed structure of Hg3Pt. Source: the Materials Project, functional PBE.

```
Hg3Pt
1.0
-2.1022 2.1022 4.6325
2.1022 -2.1022 4.6325
2.1022 2.1022 -4.6325
Hg Pt
3 1
direct
0.7500 0.2500 0.5000
0.2500 0.7500 0.5000
0.5000 0.5000 0.0000
0.0000 0.0000 0.0000
```

=====

In order of appearance, ΔH_f (0 K) = -0.058, 0.180 eV/atom.